Arrangement w

VASP calculation (PBE) on a relaxed structure of Na5CuO4.

a = 7.2046 Å, b = 7.4759 Å, c = 5.3968 Å
α = 90.00°, β = 90.00°, γ = 90.00°
Atoms (fractional coordinates):
Na  0.0103  0.0546  0.2413
Na  0.0103  0.4454  0.2413
Na  0.2500  0.7500  0.3243
Na  0.4897  0.0546  0.2413
Na  0.4897  0.4454  0.2413
Na  0.5103  0.5546  0.7587
Na  0.5103  0.9454  0.7587
Na  0.7500  0.2500  0.6757
Na  0.9897  0.5546  0.7587
Na  0.9897  0.9454  0.7587
Cu  0.2500  0.2500  0.7122
Cu  0.7500  0.7500  0.2878
O  0.0214  0.2500  0.9011
O  0.2500  0.0228  0.5313
O  0.2500  0.4772  0.5313
O  0.4786  0.2500  0.9011
O  0.5214  0.7500  0.0989
O  0.7500  0.5228  0.4687
O  0.7500  0.9772  0.4687
O  0.9786  0.7500  0.0989

Values from the calculation:
The space-group type is Pmmn (59).


Arrangement x

VASP calculation (PBE) on a relaxed structure of Na5CuO4.

a = 5.9873 Å, b = 17.9632 Å, c = 10.4858 Å
α = 90.00°, β = 90.00°, γ = 90.00°
Atoms (fractional coordinates):
Na  0.0756  0.0659  0.0641
Na  0.0756  0.4341  0.5641
Na  0.0785  0.1384  0.7960
Na  0.0785  0.3616  0.2960
Na  0.0855  0.5016  0.8424
Na  0.0855  0.9984  0.3424
Na  0.1017  0.6712  0.1709
Na  0.1017  0.8288  0.6709
Na  0.1027  0.7485  0.4209
Na  0.1027  0.7515  0.9209
Na  0.3973  0.2485  0.4209
Na  0.3973  0.2515  0.9209
Na  0.3983  0.1712  0.1709
Na  0.3983  0.3288  0.6709
Na  0.4145  0.0016  0.8424
Na  0.4145  0.4984  0.3424
Na  0.4215  0.6384  0.7960
Na  0.4215  0.8616  0.2960
Na  0.4244  0.5659  0.0641
Na  0.4244  0.9341  0.5641
Na  0.5756  0.0659  0.4359
Na  0.5756  0.4341  0.9359
Na  0.5785  0.1384  0.7040
Na  0.5785  0.3616  0.2040
Na  0.5855  0.5016  0.6576
Na  0.5855  0.9984  0.1576
Na  0.6017  0.6712  0.3291
Na  0.6017  0.8288  0.8291
Na  0.6027  0.7485  0.0791
Na  0.6027  0.7515  0.5791
Na  0.8973  0.2485  0.0791
Na  0.8973  0.2515  0.5791
Na  0.8983  0.1712  0.3291
Na  0.8983  0.3288  0.8291
Na  0.9145  0.0016  0.6576
Na  0.9145  0.4984  0.1576
Na  0.9215  0.6384  0.7040
Na  0.9215  0.8616  0.2040
Na  0.9244  0.5659  0.4359
Na  0.9244  0.9341  0.9359
Cu  0.1774  0.1226  0.5386
Cu  0.1774  0.3774  0.0386
Cu  0.3226  0.6226  0.5386
Cu  0.3226  0.8774  0.0386
Cu  0.6774  0.1226  0.9614
Cu  0.6774  0.3774  0.4614
Cu  0.8226  0.6226  0.9614
Cu  0.8226  0.8774  0.4614
O  0.1419  0.6212  0.9578
O  0.1419  0.8788  0.4578
O  0.1889  0.5460  0.6385
O  0.1889  0.9540  0.1385
O  0.2316  0.7111  0.6312
O  0.2316  0.7889  0.1312
O  0.2428  0.6252  0.3595
O  0.2428  0.8748  0.8595
O  0.2572  0.1252  0.3595
O  0.2572  0.3748  0.8595
O  0.2684  0.2111  0.6312
O  0.2684  0.2889  0.1312
O  0.3111  0.0460  0.6385
O  0.3111  0.4540  0.1385
O  0.3581  0.1212  0.9578
O  0.3581  0.3788  0.4578
O  0.6419  0.6212  0.5422
O  0.6419  0.8788  0.0422
O  0.6889  0.5460  0.8615
O  0.6889  0.9540  0.3615
O  0.7316  0.7111  0.8688
O  0.7316  0.7889  0.3688
O  0.7428  0.6252  0.1405
O  0.7428  0.8748  0.6405
O  0.7572  0.1252  0.1405
O  0.7572  0.3748  0.6405
O  0.7684  0.2111  0.8688
O  0.7684  0.2889  0.3688
O  0.8111  0.0460  0.8615
O  0.8111  0.4540  0.3615
O  0.8581  0.1212  0.5422
O  0.8581  0.3788  0.0422

Values from the calculation:
The space-group type is Pbca (61).


Pick arrangement x: it beats the second-best structure by 14 meV/atom.


Arrangement w

VASP calculation (PBE) on a relaxed structure of Na6CuO4.

a = 7.6957 Å, b = 7.6957 Å, c = 5.8550 Å
α = 90.97°, β = 90.97°, γ = 120.41°
Atoms (fractional coordinates):
Na  0.0366  0.5731  0.5011
Na  0.0369  0.9631  0.5000
Na  0.2191  0.3607  0.6675
Na  0.3601  0.6433  0.1669
Na  0.3607  0.2191  0.1675
Na  0.4272  0.9637  0.5073
Na  0.5731  0.0366  0.0011
Na  0.6433  0.3601  0.6669
Na  0.6432  0.7852  0.6662
Na  0.7852  0.6432  0.1662
Na  0.9631  0.0369  0.0000
Na  0.9637  0.4272  0.0073
Cu  0.1642  0.8321  0.8946
Cu  0.8321  0.1642  0.3946
O  0.1236  0.3129  0.2715
O  0.1621  0.8237  0.2304
O  0.3129  0.1236  0.7715
O  0.3209  0.6962  0.7820
O  0.6962  0.3209  0.2820
O  0.6958  0.8760  0.2827
O  0.8237  0.1621  0.7304
O  0.8760  0.6958  0.7827

Values from the calculation:
The space-group type is Cc (9).


Arrangement x

VASP calculation (PBE) on a relaxed structure of Na6CuO4.

a = 7.5323 Å, b = 7.5323 Å, c = 5.3461 Å
α = 90.00°, β = 90.00°, γ = 90.00°
Atoms (fractional coordinates):
Na  0.0393  0.5393  0.2500
Na  0.0393  0.9607  0.2500
Na  0.2500  0.2500  0.1500
Na  0.2500  0.2500  0.6500
Na  0.4607  0.5393  0.2500
Na  0.4607  0.9607  0.2500
Na  0.5393  0.0393  0.7500
Na  0.5393  0.4607  0.7500
Na  0.7500  0.7500  0.3500
Na  0.7500  0.7500  0.8500
Na  0.9607  0.0393  0.7500
Na  0.9607  0.4607  0.7500
Cu  0.2500  0.7500  0.7500
Cu  0.7500  0.2500  0.2500
O  0.0011  0.7500  0.5852
O  0.2500  0.5011  0.9148
O  0.2500  0.9989  0.9148
O  0.4989  0.7500  0.5852
O  0.5011  0.2500  0.4148
O  0.7500  0.0011  0.0852
O  0.7500  0.4989  0.0852
O  0.9989  0.2500  0.4148

Values from the calculation:
The space-group type is P4_2/nmc (137).


Pick arrangement w: it beats the second-best structure by 22 meV/atom.


Arrangement w

VASP calculation (PBE) on a relaxed structure of Na2CuO2.

a = 5.6723 Å, b = 5.6723 Å, c = 5.6723 Å
α = 149.31°, β = 132.96°, γ = 57.22°
Atoms (fractional coordinates):
Na  0.1883  0.1883  0.0000
Na  0.8117  0.8117  0.0000
Cu  0.5000  0.5000  0.0000
O  0.3675  0.8675  0.5000
O  0.6325  0.1325  0.5000

Values from the calculation:
The space-group type is Immm (71).


Arrangement x

VASP calculation (PBE) on a relaxed structure of Na2CuO2.

a = 5.3867 Å, b = 5.3867 Å, c = 8.2415 Å
α = 90.00°, β = 90.00°, γ = 148.22°
Atoms (fractional coordinates):
Na  0.1065  0.8935  0.5000
Na  0.3528  0.6472  0.3196
Na  0.6472  0.3528  0.8196
Na  0.8935  0.1065  0.0000
Cu  0.3777  0.6223  0.6549
Cu  0.6223  0.3777  0.1549
O  0.0170  0.9830  0.2429
O  0.2251  0.7749  0.0548
O  0.7749  0.2251  0.5548
O  0.9830  0.0170  0.7429

Values from the calculation:
The space-group type is Cmc2_1 (36).


Arrangement y

VASP calculation (PBE) on a relaxed structure of Na2CuO2.

a = 8.7659 Å, b = 5.7076 Å, c = 11.4909 Å
α = 90.00°, β = 92.48°, γ = 90.00°
Atoms (fractional coordinates):
Na  0.0090  0.0000  0.0752
Na  0.0543  0.5524  0.2080
Na  0.1462  0.4334  0.4749
Na  0.1920  0.9763  0.6341
Na  0.3149  0.8502  0.8722
Na  0.3378  0.3530  0.0144
Na  0.4359  0.2556  0.2893
Na  0.4859  0.7970  0.4268
Na  0.5141  0.2970  0.5732
Na  0.5641  0.7556  0.7107
Na  0.6622  0.8530  0.9856
Na  0.6851  0.3502  0.1278
Na  0.8080  0.4763  0.3659
Na  0.8538  0.9334  0.5251
Na  0.9457  0.0524  0.7920
Na  0.9910  0.5000  0.9248
Cu  0.1138  0.4579  0.7147
Cu  0.1667  0.9845  0.3821
Cu  0.3350  0.7984  0.1245
Cu  0.3872  0.3706  0.7835
Cu  0.6128  0.8706  0.2165
Cu  0.6650  0.2984  0.8755
Cu  0.8333  0.4845  0.6179
Cu  0.8862  0.9579  0.2853
O  0.0215  0.7410  0.3878
O  0.0462  0.1860  0.2777
O  0.1683  0.6817  0.0414
O  0.1938  0.2073  0.8274
O  0.3002  0.6243  0.6929
O  0.3334  0.1248  0.4587
O  0.4628  0.6234  0.2342
O  0.4697  0.0567  0.1126
O  0.5303  0.5567  0.8874
O  0.5372  0.1234  0.7658
O  0.6666  0.6248  0.5413
O  0.6998  0.1243  0.3071
O  0.8062  0.7073  0.1726
O  0.8317  0.1817  0.9586
O  0.9538  0.6860  0.7223
O  0.9785  0.2410  0.6122

Values from the calculation:
The space-group type is P2_1 (4).


Pick arrangement x: it beats the second-best structure by 6 meV/atom.


Arrangement w

VASP calculation (PBE) on a relaxed structure of Na2CuO2.

a = 5.1989 Å, b = 5.1989 Å, c = 4.0588 Å
α = 112.91°, β = 112.91°, γ = 112.93°
Atoms (fractional coordinates):
Na  0.2502  0.7498  0.0000
Na  0.7498  0.2502  0.0000
Cu  0.0000  0.0000  0.5000
O  0.0000  0.0000  0.0000
O  0.5000  0.5000  0.0000

Values from the calculation:
The space-group type is C2/m (12).


Arrangement x

VASP calculation (PBE) on a relaxed structure of Na2CuO2.

a = 5.6811 Å, b = 2.9484 Å, c = 8.2775 Å
α = 90.00°, β = 109.35°, γ = 90.00°
Atoms (fractional coordinates):
Na  0.1155  0.2500  0.3797
Na  0.1805  0.2500  0.9422
Na  0.8195  0.7500  0.0578
Na  0.8845  0.7500  0.6203
Cu  0.4750  0.7500  0.7394
Cu  0.5250  0.2500  0.2606
O  0.2315  0.2500  0.6774
O  0.2684  0.7500  0.1823
O  0.7316  0.2500  0.8177
O  0.7685  0.7500  0.3226

Values from the calculation:
The space-group type is P2_1/m (11).


Pick arrangement x: it beats the second-best structure by 509 meV/atom.


Arrangement w

VASP calculation (PBE) on a relaxed structure of NaCu2O3.

a = 6.1025 Å, b = 6.1025 Å, c = 3.4492 Å
α = 90.00°, β = 90.00°, γ = 144.21°
Atoms (fractional coordinates):
Na  0.0000  0.0000  0.0000
Cu  0.3422  0.6578  0.5000
Cu  0.6578  0.3422  0.5000
O  0.1793  0.8207  0.5000
O  0.5000  0.5000  0.5000
O  0.8207  0.1793  0.5000

Values from the calculation:
The space-group type is Cmmm (65).


Arrangement x

VASP calculation (PBE) on a relaxed structure of NaCu2O3.

a = 3.7924 Å, b = 10.0825 Å, c = 3.9157 Å
α = 90.00°, β = 90.00°, γ = 90.00°
Atoms (fractional coordinates):
Na  0.2500  0.2500  0.1957
Na  0.7500  0.7500  0.8043
Cu  0.2500  0.5914  0.3433
Cu  0.2500  0.9086  0.3433
Cu  0.7500  0.0914  0.6567
Cu  0.7500  0.4086  0.6567
O  0.2500  0.0701  0.5905
O  0.2500  0.4299  0.5905
O  0.2500  0.7500  0.1078
O  0.7500  0.2500  0.8922
O  0.7500  0.5701  0.4095
O  0.7500  0.9299  0.4095

Values from the calculation:
The space-group type is Pmmn (59).


Arrangement y

VASP calculation (PBE) on a relaxed structure of NaCu2O3.

a = 5.2323 Å, b = 5.2323 Å, c = 5.3827 Å
α = 101.03°, β = 101.03°, γ = 116.62°
Atoms (fractional coordinates):
Na  0.1682  0.8318  0.0000
Na  0.8318  0.1682  0.0000
Cu  0.0000  0.0000  0.5000
Cu  0.3354  0.6646  0.5000
Cu  0.5000  0.5000  0.0000
Cu  0.6646  0.3354  0.5000
O  0.0736  0.3816  0.6950
O  0.3170  0.3170  0.2359
O  0.3816  0.0736  0.6950
O  0.6184  0.9264  0.3050
O  0.6830  0.6830  0.7641
O  0.9264  0.6184  0.3050

Values from the calculation:
The space-group type is C2/m (12).


Arrangement z

VASP calculation (PBE) on a relaxed structure of NaCu2O3.

a = 5.2314 Å, b = 5.2314 Å, c = 5.8813 Å
α = 107.11°, β = 107.11°, γ = 108.05°
Atoms (fractional coordinates):
Na  0.1645  0.8355  0.0000
Na  0.8355  0.1645  0.0000
Cu  0.0000  0.0000  0.5000
Cu  0.3317  0.6683  0.5000
Cu  0.5000  0.5000  0.0000
Cu  0.6683  0.3317  0.5000
O  0.0188  0.3376  0.7321
O  0.3376  0.0188  0.7321
O  0.3660  0.3660  0.2442
O  0.6340  0.6340  0.7558
O  0.6624  0.9812  0.2679
O  0.9812  0.6624  0.2679

Values from the calculation:
The space-group type is C2/m (12).


Pick arrangement x: it beats the second-best structure by 9 meV/atom.


Arrangement w

VASP calculation (PBE) on a relaxed structure of NaCuPO4.

a = 5.0810 Å, b = 9.0000 Å, c = 8.0868 Å
α = 90.00°, β = 119.93°, γ = 90.00°
Atoms (fractional coordinates):
Na  0.1506  0.1442  0.1966
Na  0.1506  0.3558  0.6966
Na  0.8494  0.6442  0.3034
Na  0.8494  0.8558  0.8034
Cu  0.0000  0.0000  0.5000
Cu  0.0000  0.5000  0.0000
Cu  0.5000  0.0000  0.0000
Cu  0.5000  0.5000  0.5000
P  0.3521  0.6751  0.8024
P  0.3521  0.8249  0.3024
P  0.6479  0.1751  0.6976
P  0.6479  0.3249  0.1976
O  0.0801  0.6231  0.8250
O  0.0801  0.8769  0.3250
O  0.2919  0.6055  0.6101
O  0.2919  0.8945  0.1101
O  0.3305  0.1342  0.5308
O  0.3305  0.3658  0.0308
O  0.3456  0.6507  0.2854
O  0.3456  0.8493  0.7854
O  0.6544  0.1507  0.2146
O  0.6544  0.3493  0.7146
O  0.6695  0.6342  0.9692
O  0.6695  0.8658  0.4692
O  0.7081  0.1055  0.8899
O  0.7081  0.3945  0.3899
O  0.9199  0.1231  0.6750
O  0.9199  0.3769  0.1750

Values from the calculation:
The space-group type is P2_1/c (14).


Arrangement x

VASP calculation (PBE) on a relaxed structure of NaCuPO4.

a = 4.8479 Å, b = 7.3116 Å, c = 9.8382 Å
α = 90.00°, β = 90.00°, γ = 90.00°
Atoms (fractional coordinates):
Na  0.0167  0.2329  0.1876
Na  0.4833  0.7671  0.6876
Na  0.5167  0.2671  0.8124
Na  0.9833  0.7329  0.3124
Cu  0.0008  0.0643  0.5425
Cu  0.4992  0.9357  0.0425
Cu  0.5008  0.4357  0.4575
Cu  0.9992  0.5643  0.9575
P  0.0637  0.9723  0.8653
P  0.4363  0.0277  0.3653
P  0.5637  0.5277  0.1347
P  0.9363  0.4723  0.6347
O  0.1654  0.0265  0.7212
O  0.1945  0.7796  0.8963
O  0.2066  0.1056  0.9681
O  0.2459  0.5232  0.1247
O  0.2541  0.4768  0.6247
O  0.2934  0.8944  0.4681
O  0.3055  0.2204  0.3963
O  0.3346  0.9735  0.2212
O  0.6654  0.4735  0.2788
O  0.6945  0.7204  0.1037
O  0.7066  0.3944  0.0319
O  0.7459  0.9768  0.8753
O  0.7541  0.0232  0.3753
O  0.7934  0.6056  0.5319
O  0.8055  0.2796  0.6037
O  0.8346  0.5265  0.7788

Values from the calculation:
The space-group type is P2_12_12_1 (19). For the piezoelectric modulus e_max, the calculation gives 0.2 C/m2.


Pick arrangement x: it beats the second-best structure by 9 meV/atom.